No. 1
# La4Ge3S12, relaxed, DFT r²SCAN
data_La4Ge3S12
_chemical_formula_sum 'La24 Ge18 S72'
_cell_length_a 19.5834
_cell_length_b 19.5834
_cell_length_c 8.1355
_cell_angle_alpha 90.00
_cell_angle_beta 90.00
_cell_angle_gamma 120.00
_space_group_name_H-M_alt 'R 3 c'
_space_group_IT_number 161
_space_group_name_Hall 'R 3 -2"c'
loop_
_atom_site_label
_atom_site_type_symbol
_atom_site_fract_x
_atom_site_fract_y
_atom_site_fract_z
La1 La 0.0000 0.0000 0.0000
La2 La 0.1055 0.4357 0.4622
Ge1 Ge 0.0130 0.2001 0.3454
S1 S 0.0022 0.2724 0.1494
S2 S 0.0459 0.4873 0.1698
S3 S 0.0605 0.1243 0.2495
S4 S 0.2010 0.0857 0.4998
# **Total energy**: -15.07 eV/atom
# **Theoretical density**: 4.27 Mg/m³
# **ΔE_f**: -29.4 eV per formula unit



No. 2
# La2GeS5, relaxed, DFT r²SCAN
data_La2GeS5
_chemical_formula_sum 'La8 Ge4 S20'
_cell_length_a 7.689
_cell_length_b 12.783
_cell_length_c 7.953
_cell_angle_alpha 90.00
_cell_angle_beta 101.33
_cell_angle_gamma 90.00
_space_group_name_H-M_alt 'P 1 21/c 1'
_space_group_IT_number 14
_space_group_name_Hall '-P 2ybc'
loop_
_atom_site_label
_atom_site_type_symbol
_atom_site_fract_x
_atom_site_fract_y
_atom_site_fract_z
La1 La 0.160 0.167 0.135
La2 La 0.239 0.593 0.042
Ge1 Ge 0.338 0.617 0.591
S1 S 0.129 0.705 0.696
S2 S 0.137 0.121 0.499
S3 S 0.171 0.527 0.382
S4 S 0.420 0.007 0.282
S5 S 0.465 0.232 0.952
# **Total energy**: -15.95 eV/atom
# **Theoretical density**: 4.43 Mg/m³
# **ΔE_f**: -14.1 eV per formula unit



No. 3
# LaTiGe3, relaxed, DFT r²SCAN
data_LaTiGe3
_chemical_formula_sum 'La2 Ti2 Ge6'
_cell_length_a 6.2978
_cell_length_b 6.2978
_cell_length_c 5.9398
_cell_angle_alpha 90.00
_cell_angle_beta 90.00
_cell_angle_gamma 120.00
_space_group_name_H-M_alt 'P 63/m m c'
_space_group_IT_number 194
_space_group_name_Hall '-P 6c 2c'
loop_
_atom_site_label
_atom_site_type_symbol
_atom_site_fract_x
_atom_site_fract_y
_atom_site_fract_z
La1 La 0.3333 0.6667 0.2500
Ti1 Ti 0.0000 0.0000 0.0000
Ge1 Ge 0.1977 0.3953 0.7500
# **Total energy**: -17.64 eV/atom
# **Theoretical density**: 6.59 Mg/m³
# **ΔE_f**: -3.9 eV per formula unit



No. 4
# LaTiGe, relaxed, DFT r²SCAN
data_LaTiGe
_chemical_formula_sum 'La2 Ti2 Ge2'
_cell_length_a 4.159
_cell_length_b 4.159
_cell_length_c 8.280
_cell_angle_alpha 90.00
_cell_angle_beta 90.00
_cell_angle_gamma 90.00
_space_group_name_H-M_alt 'P 4/n m m'
_space_group_IT_number 129
loop_
_space_group_symop_operation_xyz
'x,y,z'
'-x,-y,-z'
'-y+1/2,x,z'
'y+1/2,-x,-z'
'-x+1/2,-y+1/2,z'
'x+1/2,y+1/2,-z'
'y,-x+1/2,z'
'-y,x+1/2,-z'
'x+1/2,-y,-z'
'-x+1/2,y,z'
'-y,-x,-z'
'y,x,z'
'-x,y+1/2,-z'
'x,-y+1/2,z'
'y+1/2,x+1/2,-z'
'-y+1/2,-x+1/2,z'
loop_
_atom_site_label
_atom_site_type_symbol
_atom_site_fract_x
_atom_site_fract_y
_atom_site_fract_z
La1 La 0.250 0.250 0.150
Ti1 Ti 0.250 0.750 0.500
Ge1 Ge 0.250 0.250 0.712
# **Total energy**: -19.58 eV/atom
# **Theoretical density**: 6.02 Mg/m³
# **ΔE_f**: -2.2 eV per formula unit



No. 5
# La2Zn6Ge3, relaxed, DFT r²SCAN
data_La2Zn6Ge3
_chemical_formula_sum 'La2 Zn6 Ge3'
_cell_length_a 7.6713
_cell_length_b 7.6713
_cell_length_c 4.1350
_cell_angle_alpha 90.00
_cell_angle_beta 90.00
_cell_angle_gamma 120.00
_space_group_name_H-M_alt 'P -6 2 m'
_space_group_IT_number 189
_space_group_name_Hall 'P -6 -2'
loop_
_atom_site_label
_atom_site_type_symbol
_atom_site_fract_x
_atom_site_fract_y
_atom_site_fract_z
La1 La 0.3333 0.6667 0.0000
Zn1 Zn 0.0000 0.1877 0.0000
Zn2 Zn 0.0000 0.7118 0.5000
Ge1 Ge 0.0000 0.3779 0.5000
# **Total energy**: -14.56 eV/atom
# **Theoretical density**: 7.00 Mg/m³
# **ΔE_f**: -5.6 eV per formula unit



No. 6
# La2Zn3Ge6, relaxed, DFT r²SCAN
data_La2Zn3Ge6
_chemical_formula_sum 'La8 Zn12 Ge24'
_cell_length_a 5.991
_cell_length_b 24.964
_cell_length_c 5.987
_cell_angle_alpha 90.00
_cell_angle_beta 90.00
_cell_angle_gamma 90.00
_space_group_name_H-M_alt 'C m c m'
_space_group_IT_number 63
_space_group_name_Hall '-C 2c 2'
loop_
_atom_site_label
_atom_site_type_symbol
_atom_site_fract_x
_atom_site_fract_y
_atom_site_fract_z
La1 La 0.000 0.106 0.250
La2 La 0.000 0.394 0.250
Zn1 Zn 0.000 0.161 0.750
Zn2 Zn 0.240 0.500 0.000
Ge1 Ge 0.000 0.058 0.750
Ge2 Ge 0.000 0.436 0.750
Ge3 Ge 0.213 0.298 0.537
# **Total energy**: -15.89 eV/atom
# **Theoretical density**: 6.75 Mg/m³
# **ΔE_f**: -5.3 eV per formula unit



No. 7
# Li15Ge4, relaxed, DFT r²SCAN
data_Li15Ge4
_chemical_formula_sum 'Li60 Ge16'
_cell_length_a 10.594
_cell_length_b 10.594
_cell_length_c 10.594
_cell_angle_alpha 90.00
_cell_angle_beta 90.00
_cell_angle_gamma 90.00
_space_group_name_H-M_alt 'I -4 3 d'
_space_group_IT_number 220
_space_group_name_Hall 'I -4bd 2c 3'
loop_
_atom_site_label
_atom_site_type_symbol
_atom_site_fract_x
_atom_site_fract_y
_atom_site_fract_z
Li1 Li 0.000 0.250 0.875
Li2 Li 0.037 0.123 0.652
Ge1 Ge 0.043 0.043 0.043
# **Total energy**: -5.17 eV/atom
# **Theoretical density**: 2.20 Mg/m³
# **ΔE_f**: -7.0 eV per formula unit



No. 8
# LiLu4Ge4, relaxed, DFT r²SCAN
data_LiLu4Ge4
_chemical_formula_sum 'Li4 Lu16 Ge16'
_cell_length_a 6.958
_cell_length_b 14.308
_cell_length_c 7.515
_cell_angle_alpha 90.00
_cell_angle_beta 90.00
_cell_angle_gamma 90.00
_space_group_name_H-M_alt 'P n m a'
_space_group_IT_number 62
_space_group_name_Hall '-P 2ac 2n'
loop_
_atom_site_label
_atom_site_type_symbol
_atom_site_fract_x
_atom_site_fract_y
_atom_site_fract_z
Li1 Li 0.163 0.250 0.022
Lu1 Lu 0.014 0.597 0.687
Lu2 Lu 0.170 0.627 0.175
Ge1 Ge 0.018 0.250 0.590
Ge2 Ge 0.171 0.037 0.966
Ge3 Ge 0.214 0.750 0.862
# **Total energy**: -24.25 eV/atom
# **Theoretical density**: 8.85 Mg/m³
# **ΔE_f**: -8.0 eV per formula unit



No. 9
# LiNbGeO5, relaxed, DFT r²SCAN
data_LiNbGeO5
_chemical_formula_sum 'Li4 Nb4 Ge4 O20'
_cell_length_a 7.822
_cell_length_b 6.739
_cell_length_c 7.524
_cell_angle_alpha 90.00
_cell_angle_beta 90.00
_cell_angle_gamma 90.00
_space_group_name_H-M_alt 'P n m a'
_space_group_IT_number 62
_space_group_name_Hall '-P 2ac 2n'
loop_
_atom_site_label
_atom_site_type_symbol
_atom_site_fract_x
_atom_site_fract_y
_atom_site_fract_z
Li1 Li 0.000 0.000 0.000
Nb1 Nb 0.163 0.250 0.273
Ge1 Ge 0.131 0.750 0.366
O1 O 0.055 0.250 0.503
O2 O 0.113 0.750 0.839
O3 O 0.124 0.541 0.230
O4 O 0.185 0.250 0.998
# **Total energy**: -11.22 eV/atom
# **Theoretical density**: 4.23 Mg/m³
# **ΔE_f**: -18.9 eV per formula unit



No. 10
# LiNdGe2, relaxed, DFT r²SCAN
data_LiNdGe2
_chemical_formula_sum 'Li4 Nd4 Ge8'
_cell_length_a 7.822
_cell_length_b 3.945
_cell_length_c 10.675
_cell_angle_alpha 90.00
_cell_angle_beta 90.00
_cell_angle_gamma 90.00
_space_group_name_H-M_alt 'P n m a'
_space_group_IT_number 62
_space_group_name_Hall '-P 2ac 2n'
loop_
_atom_site_label
_atom_site_type_symbol
_atom_site_fract_x
_atom_site_fract_y
_atom_site_fract_z
Li1 Li 0.009 0.250 0.110
Nd1 Nd 0.140 0.750 0.365
Ge1 Ge 0.156 0.750 0.683
Ge2 Ge 0.222 0.750 0.068
# **Total energy**: -15.64 eV/atom
# **Theoretical density**: 5.98 Mg/m³
# **ΔE_f**: -3.0 eV per formula unit



No. 11
# LiNi6Ge6, relaxed, DFT r²SCAN
data_LiNi6Ge6
_chemical_formula_sum 'Li3 Ni18 Ge18'
_cell_length_a 8.6724
_cell_length_b 8.6724
_cell_length_c 7.7439
_cell_angle_alpha 90.00
_cell_angle_beta 90.00
_cell_angle_gamma 120.00
_space_group_name_H-M_alt 'P 6/m m m'
_space_group_IT_number 191
_space_group_name_Hall '-P 6 2'
loop_
_atom_site_label
_atom_site_type_symbol
_atom_site_fract_x
_atom_site_fract_y
_atom_site_fract_z
Li1 Li 0.0000 0.0000 0.0000
Li2 Li 0.3333 0.6667 0.5000
Ni1 Ni 0.0000 0.5000 0.2388
Ni2 Ni 0.1669 0.3337 0.2549
Ge1 Ge 0.0000 0.0000 0.3390
Ge2 Ge 0.0000 0.3242 0.0000
Ge3 Ge 0.0000 0.3418 0.5000
Ge4 Ge 0.3333 0.6667 0.1619
# **Total energy**: -12.40 eV/atom
# **Theoretical density**: 7.85 Mg/m³
# **ΔE_f**: -3.7 eV per formula unit



No. 12
# Li4Ge5O12, relaxed, DFT r²SCAN
data_Li4Ge5O12
_chemical_formula_sum 'Li8 Ge10 O24'
_cell_length_a 5.105
_cell_length_b 9.125
_cell_length_c 9.575
_cell_angle_alpha 73.12
_cell_angle_beta 78.25
_cell_angle_gamma 79.06
_space_group_name_H-M_alt 'P -1'
_space_group_IT_number 2
_space_group_name_Hall '-P 1'
loop_
_atom_site_label
_atom_site_type_symbol
_atom_site_fract_x
_atom_site_fract_y
_atom_site_fract_z
Li1 Li 0.134 0.409 0.406
Li2 Li 0.272 0.907 0.023
Li3 Li 0.314 0.768 0.556
Li4 Li 0.346 0.577 0.112
Ge1 Ge 0.119 0.595 0.851
Ge2 Ge 0.185 0.099 0.680
Ge3 Ge 0.190 0.253 0.936
Ge4 Ge 0.267 0.097 0.270
Ge5 Ge 0.411 0.420 0.646
O1 O 0.049 0.260 0.303
O2 O 0.053 0.430 0.776
O3 O 0.103 0.099 0.866
O4 O 0.104 0.933 0.375
O5 O 0.149 0.733 0.951
O6 O 0.234 0.422 0.014
O7 O 0.265 0.568 0.484
O8 O 0.318 0.263 0.568
O9 O 0.348 0.099 0.084
O10 O 0.428 0.934 0.658
O11 O 0.447 0.580 0.730
O12 O 0.485 0.730 0.188
# **Total energy**: -9.19 eV/atom
# **Theoretical density**: 4.68 Mg/m³
# **ΔE_f**: -42.5 eV per formula unit